1.
Zn3Si14H90C30O4 (GGA-PBE, relaxed); energy of formation = -0.276 eV/atom; symmetry = P-1 (2)
1.0
14.488 0.000 0.000
6.145 13.272 0.000
6.953 -0.191 18.066
Zn Si H C O
6 28 180 60 8
direct
0.065 0.433 0.274
0.154 0.216 0.255
0.239 0.997 0.243
0.761 0.003 0.757
0.846 0.784 0.745
0.935 0.567 0.726
0.010 0.128 0.206
0.013 0.977 0.168
0.035 0.749 0.885
0.107 0.828 0.670
0.111 0.675 0.636
0.143 0.670 0.506
0.263 0.526 0.651
0.320 0.148 0.420
0.329 0.321 0.162
0.346 0.478 0.158
0.366 0.273 0.039
0.382 0.091 0.296
0.460 0.195 0.210
0.484 0.077 0.712
0.516 0.923 0.288
0.540 0.805 0.790
0.618 0.909 0.704
0.634 0.727 0.961
0.654 0.522 0.842
0.671 0.679 0.838
0.680 0.852 0.580
0.737 0.474 0.349
0.857 0.330 0.494
0.889 0.325 0.364
0.893 0.172 0.330
0.965 0.251 0.115
0.987 0.023 0.832
0.990 0.872 0.794
0.009 0.812 0.217
0.011 0.007 0.637
0.015 0.148 0.003
0.021 0.268 0.980
0.028 0.581 0.914
0.031 0.187 0.500
0.040 0.072 0.386
0.042 0.560 0.522
0.042 0.610 0.819
0.050 0.385 0.745
0.052 0.405 0.651
0.061 0.609 0.278
0.066 0.770 0.411
0.070 0.853 0.264
0.073 0.093 0.713
0.078 0.851 0.464
0.086 0.334 0.111
0.087 0.928 0.557
0.105 0.943 0.912
0.111 0.574 0.427
0.119 0.054 0.869
0.128 0.169 0.004
0.132 0.846 0.069
0.139 0.964 0.037
0.146 0.279 0.410
0.173 0.306 0.486
0.175 0.595 0.133
0.178 0.441 0.764
0.183 0.489 0.484
0.185 0.939 0.817
0.190 0.406 0.026
0.203 0.634 0.909
0.206 0.755 0.887
0.208 0.045 0.471
0.212 0.890 0.096
0.216 0.103 0.542
0.230 0.531 0.290
0.230 0.912 0.656
0.236 0.514 0.787
0.236 0.672 0.815
0.236 0.829 0.295
0.241 0.392 0.596
0.242 0.332 0.394
0.263 0.161 0.077
0.270 0.650 0.111
0.274 0.827 0.197
0.278 0.335 0.943
0.288 0.561 0.049
0.288 0.785 0.684
0.293 0.812 0.590
0.297 0.654 0.391
0.304 0.157 0.697
0.304 0.432 0.968
0.305 0.606 0.248
0.306 0.713 0.461
0.321 0.397 0.740
0.324 0.445 0.526
0.326 0.032 0.730
0.327 0.993 0.496
0.347 0.580 0.461
0.358 0.943 0.847
0.360 0.131 0.986
0.370 0.483 0.279
0.370 0.813 0.239
0.371 0.215 0.805
0.373 0.609 0.670
0.377 0.358 0.590
0.378 0.835 0.903
0.378 0.852 0.363
0.386 0.095 0.848
0.386 0.178 0.512
0.387 0.053 0.635
0.402 0.091 0.065
0.402 0.595 0.573
0.432 0.810 0.712
0.433 0.714 0.780
0.433 0.825 0.016
0.438 0.918 0.904
0.453 0.307 0.302
0.455 0.214 0.424
0.455 0.488 0.626
0.455 0.588 0.861
0.460 0.849 0.413
0.464 0.694 0.021
0.476 0.577 0.948
0.489 0.241 0.658
0.490 0.751 0.083
0.492 0.138 0.824
0.494 0.084 0.448
0.497 0.532 0.099
0.503 0.468 0.901
0.506 0.916 0.552
0.508 0.862 0.176
0.510 0.249 0.917
0.511 0.759 0.342
0.524 0.423 0.052
0.536 0.306 0.979
0.540 0.151 0.587
0.545 0.412 0.139
0.545 0.512 0.374
0.545 0.786 0.576
0.547 0.693 0.698
0.562 0.082 0.096
0.567 0.175 0.984
0.567 0.286 0.220
0.568 0.190 0.288
0.598 0.405 0.427
0.598 0.909 0.935
0.613 0.947 0.365
0.614 0.822 0.488
0.614 0.905 0.152
0.622 0.148 0.637
0.622 0.165 0.097
0.623 0.642 0.410
0.627 0.391 0.330
0.629 0.785 0.195
0.630 0.187 0.761
0.630 0.517 0.721
0.640 0.869 0.014
0.642 0.057 0.153
0.653 0.420 0.539
0.673 0.007 0.504
0.674 0.968 0.270
0.676 0.555 0.474
0.679 0.603 0.260
0.694 0.287 0.539
0.695 0.394 0.752
0.696 0.568 0.032
0.696 0.843 0.303
0.703 0.346 0.609
0.707 0.188 0.410
0.712 0.215 0.316
0.712 0.439 0.951
0.722 0.665 0.057
0.726 0.173 0.803
0.730 0.350 0.889
0.737 0.839 0.923
0.758 0.668 0.606
0.759 0.608 0.404
0.764 0.171 0.705
0.764 0.328 0.185
0.764 0.486 0.213
0.770 0.088 0.344
0.770 0.469 0.710
0.784 0.897 0.458
0.788 0.110 0.904
0.792 0.955 0.529
0.794 0.245 0.113
0.797 0.366 0.091
0.810 0.594 0.974
0.815 0.061 0.183
0.817 0.511 0.516
0.822 0.559 0.236
0.825 0.405 0.867
0.827 0.694 0.514
0.854 0.721 0.590
0.861 0.036 0.963
0.868 0.154 0.931
0.872 0.831 0.996
0.881 0.946 0.131
0.889 0.426 0.573
0.895 0.057 0.088
0.913 0.072 0.443
0.914 0.666 0.889
0.922 0.149 0.536
0.927 0.907 0.287
0.930 0.147 0.736
0.934 0.230 0.589
0.939 0.391 0.722
0.948 0.595 0.349
0.950 0.615 0.255
0.958 0.390 0.181
0.958 0.440 0.478
0.960 0.928 0.614
0.969 0.813 0.500
0.972 0.419 0.086
0.979 0.732 0.020
0.985 0.852 0.997
0.989 0.993 0.363
0.991 0.188 0.783
0.000 0.423 0.709
0.000 0.577 0.291
0.002 0.641 0.876
0.005 0.878 0.241
0.034 0.933 0.615
0.040 0.203 0.016
0.055 0.788 0.468
0.111 0.985 0.860
0.117 0.563 0.483
0.136 0.914 0.085
0.184 0.698 0.872
0.210 0.279 0.428
0.243 0.833 0.648
0.246 0.465 0.745
0.262 0.064 0.488
0.262 0.580 0.108
0.275 0.372 0.990
0.285 0.852 0.243
0.287 0.652 0.450
0.304 0.421 0.584
0.309 0.529 0.253
0.345 0.153 0.043
0.365 0.079 0.692
0.384 0.559 0.628
0.418 0.883 0.869
0.425 0.156 0.453
0.429 0.136 0.806
0.460 0.838 0.358
0.483 0.750 0.740
0.492 0.458 0.107
0.492 0.751 0.025
0.508 0.249 0.975
0.508 0.542 0.893
0.517 0.250 0.260
0.540 0.162 0.642
0.571 0.864 0.194
0.575 0.844 0.547
0.582 0.117 0.131
0.616 0.441 0.372
0.635 0.921 0.308
0.655 0.847 0.957
0.691 0.471 0.747
0.696 0.579 0.416
0.713 0.348 0.550
0.715 0.148 0.757
0.725 0.628 0.010
0.738 0.420 0.892
0.738 0.936 0.512
0.754 0.535 0.255
0.757 0.167 0.352
0.790 0.721 0.572
0.816 0.302 0.128
0.864 0.086 0.915
0.883 0.437 0.517
0.889 0.015 0.140
0.945 0.212 0.532
0.960 0.797 0.984
0.966 0.067 0.385
0.995 0.122 0.759
0.998 0.359 0.124
0.014 0.323 0.314
0.129 0.115 0.212
0.203 0.328 0.215
0.274 0.096 0.277
0.726 0.904 0.723
0.797 0.672 0.785
0.871 0.885 0.788
0.986 0.677 0.686



2.
SiO2 (GGA-PBE, relaxed); largest piezoelectric modulus = 0.182 C/m2; energy of formation = -3.223 eV/atom; symmetry = P1 (1)
1.0
4.927 0.000 0.000
-1.494 6.895 0.000
-1.739 -3.360 6.067
Si O
4 8
direct
0.000 0.000 0.000
0.002 0.409 0.348
0.622 0.985 0.245
0.636 0.712 0.489
0.335 0.002 0.092
0.349 0.566 0.507
0.521 0.847 0.366
0.788 0.865 0.083
0.795 0.560 0.345
0.859 0.237 0.429
0.881 0.885 0.734
0.996 0.255 0.100



3.
Sr2TiRuO6 (GGA-PBE, relaxed); energy of formation = -2.867 eV/atom; symmetry = P4/mmm (123)
1.0
3.947 0.000 0.000
0.000 3.947 0.000
0.000 0.000 7.956
Sr Ti Ru O
2 1 1 6
direct
0.000 0.000 0.247
0.000 0.000 0.753
0.500 0.500 0.000
0.500 0.500 0.500
0.000 0.500 0.000
0.000 0.500 0.500
0.500 0.000 0.000
0.500 0.000 0.500
0.500 0.500 0.246
0.500 0.500 0.754



4.
Sm2PdRh (GGA-PBE, relaxed); energy of formation = -0.771 eV/atom; symmetry = Fm-3m (225)
1.0
0.000 3.548 3.548
3.548 0.000 3.548
3.548 3.548 0.000
Sm Pd Rh
2 1 1
direct
0.250 0.250 0.250
0.750 0.750 0.750
0.000 0.000 0.000
0.500 0.500 0.500



Question: Which formula does entry 4 have?
Answer: Sm2PdRh